Crystalline Na2MgZrP2SO12 at its relaxed geometry. Source: Materials Project, functional GGA-PBE.

The structure in POSCAR format:
```
Na2MgZrP2SO12
1.0
-2.387 3.843 7.759
2.705 -8.506 -0.154
21.537 6.830 3.242
Na Mg Zr P S O
12 6 6 12 6 72
direct
0.996 0.631 0.245
0.635 0.631 0.745
0.662 0.964 0.579
0.302 0.964 0.079
0.329 0.298 0.912
0.969 0.298 0.412
0.998 0.980 0.494
0.982 0.980 0.994
0.665 0.313 0.827
0.649 0.313 0.327
0.331 0.646 0.160
0.315 0.646 0.660
0.000 0.997 0.351
0.997 0.997 0.851
0.667 0.330 0.684
0.663 0.330 0.184
0.334 0.664 0.018
0.330 0.664 0.518
0.002 0.010 0.648
0.008 0.010 0.148
0.669 0.344 0.981
0.675 0.344 0.481
0.335 0.677 0.315
0.342 0.677 0.815
0.297 0.010 0.251
0.994 0.292 0.254
0.298 0.292 0.754
0.713 0.010 0.751
0.964 0.343 0.585
0.661 0.625 0.587
0.964 0.625 0.087
0.380 0.343 0.085
0.630 0.677 0.918
0.327 0.958 0.921
0.631 0.958 0.421
0.046 0.677 0.418
0.709 0.707 0.251
0.998 0.707 0.751
0.375 0.040 0.584
0.665 0.040 0.084
0.042 0.374 0.917
0.332 0.374 0.417
0.202 0.023 0.304
0.815 0.790 0.302
0.975 0.188 0.309
0.213 0.188 0.809
0.975 0.790 0.802
0.821 0.023 0.804
0.790 0.970 0.694
0.182 0.201 0.699
0.026 0.814 0.697
0.788 0.814 0.197
0.019 0.201 0.199
0.181 0.970 0.194
0.869 0.356 0.637
0.481 0.123 0.636
0.642 0.522 0.642
0.880 0.522 0.142
0.642 0.123 0.136
0.487 0.356 0.137
0.456 0.304 0.028
0.849 0.534 0.032
0.693 0.147 0.031
0.455 0.147 0.531
0.685 0.534 0.532
0.847 0.304 0.528
0.535 0.689 0.970
0.148 0.457 0.969
0.308 0.855 0.976
0.547 0.855 0.476
0.309 0.457 0.469
0.154 0.689 0.470
0.123 0.637 0.361
0.515 0.868 0.365
0.359 0.481 0.364
0.121 0.481 0.864
0.352 0.868 0.865
0.514 0.637 0.861
0.020 0.831 0.410
0.815 0.990 0.412
0.176 0.201 0.411
0.026 0.201 0.911
0.175 0.990 0.912
0.810 0.831 0.910
0.973 0.169 0.589
0.200 0.020 0.589
0.830 0.810 0.590
0.980 0.810 0.090
0.820 0.020 0.089
0.197 0.169 0.089
0.687 0.164 0.743
0.481 0.323 0.746
0.842 0.535 0.744
0.692 0.535 0.244
0.842 0.323 0.246
0.477 0.164 0.243
0.639 0.502 0.922
0.867 0.354 0.922
0.497 0.143 0.923
0.647 0.143 0.423
0.487 0.354 0.422
0.863 0.502 0.422
0.354 0.497 0.076
0.148 0.657 0.079
0.509 0.868 0.078
0.359 0.868 0.578
0.509 0.657 0.579
0.143 0.497 0.576
0.306 0.836 0.255
0.534 0.687 0.256
0.163 0.477 0.256
0.313 0.477 0.756
0.154 0.687 0.756
0.530 0.836 0.755
```

* total DFT energy (no corrections): -6.931 eV per atom
* ΔH_f (0 K): -52.81 eV/f.u.
* ρ: 2.82 Mg/m³